! LuTlO3 (PBE, relaxed); values from VASP
&SYSTEM
  ibrav = 0, nat = 20, ntyp = 3
/
ATOMIC_SPECIES
Lu 174.97 Lu.upf
Tl 204.38 Tl.upf
O 16.00 O.upf
ATOMIC_POSITIONS crystal
Lu 0.000 0.000 0.000
Lu 0.000 0.500 0.000
Lu 0.500 0.000 0.500
Lu 0.500 0.500 0.500
Tl 0.052 0.250 0.483
Tl 0.448 0.750 0.983
Tl 0.552 0.250 0.017
Tl 0.948 0.750 0.517
O 0.081 0.750 0.127
O 0.181 0.572 0.678
O 0.181 0.928 0.678
O 0.319 0.072 0.178
O 0.319 0.428 0.178
O 0.419 0.250 0.627
O 0.581 0.750 0.373
O 0.681 0.572 0.822
O 0.681 0.928 0.822
O 0.819 0.072 0.322
O 0.819 0.428 0.322
O 0.919 0.250 0.873
CELL_PARAMETERS angstrom
5.808 0.000 0.000
0.000 8.426 0.000
0.000 0.000 5.695
! **Total moment**: 0.01 μB per formula unit
! **Formation energy from the elements**: -2530.3 meV/atom

=====

! Lu6UO12 (PBE, relaxed); values from VASP
&SYSTEM
  ibrav = 0, nat = 19, ntyp = 3
/
ATOMIC_SPECIES
Lu 174.97 Lu.upf
U 238.03 U.upf
O 16.00 O.upf
ATOMIC_POSITIONS crystal
Lu 0.109 0.827 0.646
Lu 0.173 0.354 0.891
Lu 0.354 0.891 0.173
Lu 0.646 0.109 0.827
Lu 0.827 0.646 0.109
Lu 0.891 0.173 0.354
U 0.500 0.500 0.500
O 0.077 0.914 0.322
O 0.086 0.678 0.923
O 0.187 0.412 0.550
O 0.322 0.077 0.914
O 0.412 0.550 0.187
O 0.450 0.813 0.588
O 0.550 0.187 0.412
O 0.588 0.450 0.813
O 0.678 0.923 0.086
O 0.813 0.588 0.450
O 0.914 0.322 0.077
O 0.923 0.086 0.678
CELL_PARAMETERS angstrom
4.903 2.831 3.066
-4.903 2.831 3.066
0.000 -5.662 3.066
! **Formation energy from the elements**: -4066.2 meV/atom

=====

! LuUO3 (PBE, relaxed); values from VASP
&SYSTEM
  ibrav = 0, nat = 5, ntyp = 3
/
ATOMIC_SPECIES
Lu 174.97 Lu.upf
U 238.03 U.upf
O 16.00 O.upf
ATOMIC_POSITIONS crystal
Lu 0.000 0.000 0.000
U 0.500 0.500 0.500
O 0.000 0.000 0.500
O 0.000 0.500 0.000
O 0.500 0.000 0.000
CELL_PARAMETERS angstrom
4.192 0.000 0.000
0.000 4.192 0.000
0.000 0.000 4.192
! **Total moment**: 3.00 μB per formula unit
! **Formation energy from the elements**: -3049.3 meV/atom

=====

! YLuO3 (PBE, relaxed); values from VASP
&SYSTEM
  ibrav = 0, nat = 20, ntyp = 3
/
ATOMIC_SPECIES
Y 88.91 Y.upf
Lu 174.97 Lu.upf
O 16.00 O.upf
ATOMIC_POSITIONS crystal
Y 0.057 0.250 0.015
Y 0.443 0.750 0.515
Y 0.557 0.250 0.485
Y 0.943 0.750 0.985
Lu 0.000 0.000 0.500
Lu 0.000 0.500 0.500
Lu 0.500 0.000 0.000
Lu 0.500 0.500 0.000
O 0.072 0.750 0.360
O 0.185 0.573 0.819
O 0.185 0.927 0.819
O 0.315 0.073 0.319
O 0.315 0.427 0.319
O 0.428 0.250 0.860
O 0.572 0.750 0.140
O 0.685 0.573 0.681
O 0.685 0.927 0.681
O 0.815 0.073 0.181
O 0.815 0.427 0.181
O 0.928 0.250 0.640
CELL_PARAMETERS angstrom
5.891 0.000 0.000
0.000 8.219 0.000
0.000 0.000 5.605
! **Total moment**: 0.00 μB per formula unit
! **Formation energy from the elements**: -3971.4 meV/atom